Density functional theory data (PBE+U) for a relaxed MgMn3BiO8 crystal.

## Properties
As for the total magnetic moment: 10.0 μB/f.u. The polymorph energy (0 for the lowest one) is 4.44 eV/f.u. Its space group is No. 160. The mass density is 3.63 g cm⁻³. For the formation energy, the calculation gives -1623 meV per atom.

a = 5.943 Å, b = 5.943 Å, c = 8.579 Å
α = 69.73°, β = 110.27°, γ = 120.00°
Sites, in units of the cell vectors:
1 Mg 0.421 0.579 0.262
2 O 0.699 0.301 0.097
3 Mn 0.491 0.003 0.979
4 Bi 0.551 0.449 0.652
5 O 0.285 0.715 0.854
6 Mn 0.491 0.509 0.979
7 O 0.762 0.701 0.823
8 O 0.220 0.780 0.118
9 O 0.762 0.238 0.823
10 O 0.299 0.238 0.823
11 Mn 0.997 0.509 0.979
12 O 0.678 0.780 0.118
13 O 0.220 0.322 0.118

Density functional theory data (PBE+U) for a relaxed MgMn3BiO8 crystal.

## Properties
As for the total magnetic moment: 10.1 μB/f.u. The polymorph energy (0 for the lowest one) is 1.45 eV/f.u. Its space group is No. 12. The mass density is 5.04 g cm⁻³. For the formation energy, the calculation gives -1852 meV per atom.

a = 6.188 Å, b = 6.188 Å, c = 6.565 Å
α = 59.04°, β = 120.96°, γ = 121.30°
Sites, in units of the cell vectors:
1 O 0.785 0.728 0.766
2 O 0.246 0.754 0.187
3 Mn 0.000 0.500 0.000
4 Bi 0.500 0.500 0.500
5 O 0.215 0.272 0.234
6 O 0.272 0.215 0.766
7 O 0.254 0.746 0.807
8 O 0.728 0.785 0.234
9 O 0.746 0.254 0.193
10 Mn 0.500 0.500 0.000
11 Mg 0.000 0.000 0.500
12 O 0.754 0.246 0.813
13 Mn 0.500 0.000 0.000

Density functional theory data (PBE+U) for a relaxed MgBiMoO5 crystal.

## Properties
As for the total magnetic moment: 1.0 μB/f.u. The polymorph energy (0 for the lowest one) is 0.05 eV/f.u. Its space group is No. 61. The mass density is 6.13 g cm⁻³. For the formation energy, the calculation gives -2116 meV per atom.

a = 5.255 Å, b = 10.489 Å, c = 16.094 Å
α = 90.00°, β = 90.00°, γ = 90.00°
Sites, in units of the cell vectors:
1 O 0.781 0.971 0.547
2 O 0.781 0.471 0.953
3 Mo 0.508 0.878 0.584
4 O 0.915 0.328 0.305
5 O 0.585 0.828 0.695
6 O 0.751 0.719 0.030
7 Mo 0.508 0.378 0.916
8 O 0.798 0.979 0.878
9 O 0.415 0.172 0.305
10 O 0.794 0.717 0.854
11 Mo 0.008 0.622 0.584
12 O 0.294 0.783 0.854
13 Bi 0.978 0.859 0.778
14 Bi 0.978 0.359 0.722
15 O 0.085 0.172 0.805
16 O 0.281 0.029 0.953
17 O 0.251 0.281 0.470
18 Mo 0.492 0.622 0.084
19 O 0.206 0.283 0.146
20 Mg 0.028 0.632 0.943
21 Bi 0.522 0.359 0.222
22 Mg 0.972 0.868 0.443
23 O 0.298 0.521 0.878
24 O 0.249 0.281 0.970
25 Mg 0.472 0.132 0.057
26 Mg 0.528 0.368 0.557
27 O 0.706 0.717 0.354
28 Bi 0.478 0.641 0.778
29 O 0.585 0.328 0.805
30 O 0.749 0.719 0.530
31 Mo 0.008 0.122 0.916
32 O 0.298 0.021 0.622
33 O 0.281 0.529 0.547
34 O 0.794 0.217 0.646
35 O 0.202 0.521 0.378
36 O 0.702 0.479 0.122
37 O 0.085 0.672 0.695
38 Mg 0.028 0.132 0.557
39 O 0.798 0.479 0.622
40 Bi 0.478 0.141 0.722
41 O 0.719 0.971 0.047
42 O 0.702 0.979 0.378
43 Bi 0.022 0.141 0.222
44 O 0.719 0.471 0.453
45 Mo 0.992 0.378 0.416
46 O 0.251 0.781 0.030
47 Mg 0.472 0.632 0.443
48 O 0.415 0.672 0.195
49 Mg 0.972 0.368 0.057
50 O 0.249 0.781 0.530
51 O 0.294 0.283 0.646
52 O 0.219 0.529 0.047
53 Mg 0.528 0.868 0.943
54 Bi 0.522 0.859 0.278
55 Mo 0.992 0.878 0.084
56 O 0.915 0.828 0.195
57 O 0.749 0.219 0.970
58 O 0.751 0.219 0.470
59 Mo 0.492 0.122 0.416
60 O 0.206 0.783 0.354
61 O 0.706 0.217 0.146
62 Bi 0.022 0.641 0.278
63 O 0.202 0.021 0.122
64 O 0.219 0.029 0.453

- What is the mass density in the second record?
  5.04 g cm⁻³

Repeat the third record exactly.
Density functional theory data (PBE+U) for a relaxed MgBiMoO5 crystal.

## Properties
As for the total magnetic moment: 1.0 μB/f.u. The polymorph energy (0 for the lowest one) is 0.05 eV/f.u. Its space group is No. 61. The mass density is 6.13 g cm⁻³. For the formation energy, the calculation gives -2116 meV per atom.

a = 5.255 Å, b = 10.489 Å, c = 16.094 Å
α = 90.00°, β = 90.00°, γ = 90.00°
Sites, in units of the cell vectors:
1 O 0.781 0.971 0.547
2 O 0.781 0.471 0.953
3 Mo 0.508 0.878 0.584
4 O 0.915 0.328 0.305
5 O 0.585 0.828 0.695
6 O 0.751 0.719 0.030
7 Mo 0.508 0.378 0.916
8 O 0.798 0.979 0.878
9 O 0.415 0.172 0.305
10 O 0.794 0.717 0.854
11 Mo 0.008 0.622 0.584
12 O 0.294 0.783 0.854
13 Bi 0.978 0.859 0.778
14 Bi 0.978 0.359 0.722
15 O 0.085 0.172 0.805
16 O 0.281 0.029 0.953
17 O 0.251 0.281 0.470
18 Mo 0.492 0.622 0.084
19 O 0.206 0.283 0.146
20 Mg 0.028 0.632 0.943
21 Bi 0.522 0.359 0.222
22 Mg 0.972 0.868 0.443
23 O 0.298 0.521 0.878
24 O 0.249 0.281 0.970
25 Mg 0.472 0.132 0.057
26 Mg 0.528 0.368 0.557
27 O 0.706 0.717 0.354
28 Bi 0.478 0.641 0.778
29 O 0.585 0.328 0.805
30 O 0.749 0.719 0.530
31 Mo 0.008 0.122 0.916
32 O 0.298 0.021 0.622
33 O 0.281 0.529 0.547
34 O 0.794 0.217 0.646
35 O 0.202 0.521 0.378
36 O 0.702 0.479 0.122
37 O 0.085 0.672 0.695
38 Mg 0.028 0.132 0.557
39 O 0.798 0.479 0.622
40 Bi 0.478 0.141 0.722
41 O 0.719 0.971 0.047
42 O 0.702 0.979 0.378
43 Bi 0.022 0.141 0.222
44 O 0.719 0.471 0.453
45 Mo 0.992 0.378 0.416
46 O 0.251 0.781 0.030
47 Mg 0.472 0.632 0.443
48 O 0.415 0.672 0.195
49 Mg 0.972 0.368 0.057
50 O 0.249 0.781 0.530
51 O 0.294 0.283 0.646
52 O 0.219 0.529 0.047
53 Mg 0.528 0.868 0.943
54 Bi 0.522 0.859 0.278
55 Mo 0.992 0.878 0.084
56 O 0.915 0.828 0.195
57 O 0.749 0.219 0.970
58 O 0.751 0.219 0.470
59 Mo 0.492 0.122 0.416
60 O 0.206 0.783 0.354
61 O 0.706 0.217 0.146
62 Bi 0.022 0.641 0.278
63 O 0.202 0.021 0.122
64 O 0.219 0.029 0.453